[1]
Below is a relaxed Li4MnFe3B4O12 crystal, with properties calculated at the PBE+U level.

## Properties
* magnetization: 17.00 Bohr magnetons per cell
* volume: 10.271 Å³ per atom
* density: 3.27 g cm⁻³
* relative energy among the computed polymorphs: 1 meV per atom
* SG: No. 1
* energy of formation: -2.37 eV/atom

Unit cell a=5.228 b=5.230 c=10.406 alpha=90.77 beta=91.23 gamma=119.90
Atoms (fractional coordinates):
Li 0.000 0.000 0.000
Li 0.032 0.992 0.497
Li 0.319 0.316 0.249
Li 0.352 0.314 0.747
Mn 0.679 0.331 0.032
Fe 0.012 0.659 0.783
Fe 0.362 0.677 0.535
Fe 0.665 0.977 0.285
B 0.000 0.648 0.291
B 0.340 0.657 0.039
B 0.682 0.991 0.788
B 0.687 0.329 0.539
O 0.016 0.921 0.305
O 0.103 0.690 0.997
O 0.251 0.627 0.321
O 0.309 0.381 0.053
O 0.414 0.306 0.551
O 0.433 0.726 0.749
O 0.613 0.909 0.071
O 0.660 0.242 0.816
O 0.710 0.082 0.501
O 0.739 0.399 0.250
O 0.944 0.597 0.570
O 0.957 0.011 0.801



[2]
Below is a relaxed Li8Mn7FeB8O24 crystal, with properties calculated at the PBE+U level.

## Properties
* magnetization: 39.00 Bohr magnetons per cell
* volume: 10.710 Å³ per atom
* density: 3.12 g cm⁻³
* SG: No. 1
* energy of formation: -2.48 eV/atom

Unit cell a=6.066 b=8.301 c=10.501 alpha=90.86 beta=90.66 gamma=103.47
Atoms (fractional coordinates):
Li 0.000 0.000 0.000
Li 0.000 0.000 0.499
Li 0.092 0.437 0.348
Li 0.093 0.437 0.849
Li 0.499 0.501 0.250
Li 0.501 0.500 0.750
Li 0.593 0.936 0.100
Li 0.593 0.937 0.599
Mn 0.232 0.138 0.758
Mn 0.234 0.135 0.258
Mn 0.361 0.799 0.841
Mn 0.732 0.638 0.009
Mn 0.733 0.638 0.507
Mn 0.860 0.298 0.091
Mn 0.860 0.298 0.591
Fe 0.361 0.797 0.344
B 0.211 0.623 0.589
B 0.213 0.624 0.091
B 0.379 0.315 0.509
B 0.380 0.315 0.010
B 0.712 0.120 0.340
B 0.713 0.122 0.840
B 0.879 0.814 0.759
B 0.881 0.814 0.260
O 0.031 0.529 0.515
O 0.033 0.530 0.017
O 0.060 0.906 0.834
O 0.062 0.905 0.334
O 0.206 0.202 0.068
O 0.206 0.202 0.568
O 0.223 0.597 0.718
O 0.223 0.602 0.221
O 0.371 0.341 0.379
O 0.371 0.342 0.880
O 0.382 0.739 0.529
O 0.388 0.735 0.031
O 0.531 0.026 0.266
O 0.532 0.030 0.765
O 0.560 0.407 0.084
O 0.560 0.407 0.584
O 0.705 0.701 0.318
O 0.706 0.701 0.818
O 0.720 0.095 0.969
O 0.721 0.095 0.470
O 0.870 0.841 0.630
O 0.873 0.841 0.130
O 0.884 0.234 0.281
O 0.887 0.235 0.782



[3]
Below is a relaxed Li2MnFeB2O6 crystal, with properties calculated at the PBE+U level.

## Properties
* magnetization: 8.00 Bohr magnetons per cell
* volume: 10.546 Å³ per atom
* density: 3.18 g cm⁻³
* relative energy among the computed polymorphs: 2 meV per atom
* SG: No. 2
* energy of formation: -2.42 eV/atom

Unit cell a=5.171 b=5.241 c=11.051 alpha=76.86 beta=78.86 gamma=60.68
Atoms (fractional coordinates):
Li 0.099 0.466 0.167
Li 0.392 0.040 0.340
Li 0.608 0.960 0.660
Li 0.901 0.534 0.833
Mn 0.224 0.863 0.883
Mn 0.776 0.137 0.117
Fe 0.281 0.636 0.617
Fe 0.719 0.364 0.383
B 0.056 0.710 0.373
B 0.440 0.794 0.134
B 0.560 0.206 0.866
B 0.944 0.290 0.627
O 0.083 0.447 0.354
O 0.203 0.025 0.654
O 0.210 0.781 0.089
O 0.293 0.717 0.413
O 0.302 0.467 0.837
O 0.403 0.063 0.152
O 0.597 0.937 0.848
O 0.698 0.533 0.163
O 0.707 0.283 0.587
O 0.790 0.219 0.911
O 0.797 0.975 0.346
O 0.917 0.553 0.646



[4]
Below is a relaxed Li2MnFeB2O6 crystal, with properties calculated at the PBE+U level.

## Properties
* magnetization: 0.00 Bohr magnetons per cell
* volume: 10.485 Å³ per atom
* density: 3.20 g cm⁻³
* relative energy among the computed polymorphs: 3 meV per atom
* SG: No. 2
* energy of formation: -2.42 eV/atom

Unit cell a=5.192 b=5.256 c=10.947 alpha=92.03 beta=101.36 gamma=119.58
Atoms (fractional coordinates):
Li 0.069 0.213 0.089
Li 0.070 0.713 0.589
Li 0.930 0.287 0.411
Li 0.931 0.787 0.911
Mn 0.409 0.878 0.132
Mn 0.591 0.122 0.868
Fe 0.416 0.389 0.630
Fe 0.584 0.611 0.370
B 0.264 0.958 0.381
B 0.266 0.459 0.879
B 0.734 0.541 0.121
B 0.736 0.042 0.619
O 0.026 0.694 0.399
O 0.037 0.191 0.898
O 0.268 0.720 0.909
O 0.269 0.223 0.407
O 0.493 0.036 0.659
O 0.493 0.528 0.166
O 0.507 0.472 0.834
O 0.507 0.964 0.341
O 0.731 0.777 0.593
O 0.732 0.280 0.091
O 0.963 0.809 0.102
O 0.974 0.306 0.601



[5]
Below is a relaxed Li8MnFe7B8O24 crystal, with properties calculated at the PBE+U level.

## Properties
* magnetization: 33.07 Bohr magnetons per cell
* volume: 10.246 Å³ per atom
* density: 3.28 g cm⁻³
* relative energy among the computed polymorphs: 4 meV per atom
* SG: No. 1
* energy of formation: -2.35 eV/atom

Unit cell a=5.219 b=5.227 c=20.804 alpha=88.26 beta=89.14 gamma=60.10
Atoms (fractional coordinates):
Li 0.000 0.000 0.000
Li 0.000 0.005 0.500
Li 0.006 0.314 0.875
Li 0.010 0.316 0.376
Li 0.968 0.333 0.625
Li 0.972 0.330 0.124
Li 0.973 0.005 0.250
Li 0.974 0.016 0.751
Mn 0.662 0.987 0.391
Fe 0.306 0.662 0.643
Fe 0.308 0.662 0.143
Fe 0.335 0.332 0.519
Fe 0.336 0.333 0.018
Fe 0.642 0.672 0.767
Fe 0.658 0.657 0.266
Fe 0.666 0.979 0.892
B 0.320 0.329 0.269
B 0.322 0.332 0.771
B 0.324 0.656 0.895
B 0.328 0.658 0.395
B 0.650 0.993 0.646
B 0.651 0.992 0.145
B 0.652 0.669 0.522
B 0.657 0.663 0.020
O 0.065 0.310 0.276
O 0.066 0.318 0.778
O 0.071 0.931 0.901
O 0.082 0.935 0.402
O 0.304 0.594 0.249
O 0.307 0.407 0.411
O 0.309 0.596 0.750
O 0.311 0.401 0.910
O 0.376 0.694 0.537
O 0.380 0.689 0.035
O 0.384 0.239 0.627
O 0.386 0.237 0.126
O 0.589 0.637 0.876
O 0.592 0.080 0.283
O 0.597 0.083 0.785
O 0.597 0.628 0.374
O 0.663 0.920 0.501
O 0.665 0.723 0.661
O 0.665 0.915 0.000
O 0.667 0.721 0.160
O 0.903 0.016 0.652
O 0.904 0.014 0.151
O 0.907 0.399 0.529
O 0.910 0.393 0.027



[6]
Below is a relaxed Li8MnFe7B8O24 crystal, with properties calculated at the PBE+U level.

## Properties
* magnetization: 33.00 Bohr magnetons per cell
* volume: 10.225 Å³ per atom
* density: 3.29 g cm⁻³
* relative energy among the computed polymorphs: 1 meV per atom
* SG: No. 1
* energy of formation: -2.35 eV/atom

Unit cell a=5.224 b=9.071 c=11.476 alpha=111.89 beta=102.37 gamma=90.20
Atoms (fractional coordinates):
Li 0.000 0.000 0.000
Li 0.033 0.033 0.747
Li 0.219 0.257 0.499
Li 0.257 0.287 0.249
Li 0.500 0.500 0.999
Li 0.533 0.535 0.747
Li 0.720 0.754 0.494
Li 0.756 0.788 0.247
Mn 0.216 0.904 0.464
Fe 0.014 0.691 0.715
Fe 0.237 0.601 0.208
Fe 0.481 0.819 0.963
Fe 0.506 0.195 0.715
Fe 0.718 0.409 0.466
Fe 0.743 0.108 0.214
Fe 0.979 0.316 0.961
B 0.003 0.355 0.709
B 0.215 0.563 0.456
B 0.251 0.934 0.205
B 0.469 0.149 0.958
B 0.507 0.853 0.707
B 0.710 0.068 0.459
B 0.749 0.435 0.206
B 0.968 0.649 0.956
O 0.073 0.769 0.927
O 0.124 0.062 0.192
O 0.130 0.546 0.994
O 0.136 0.828 0.246
O 0.199 0.132 0.947
O 0.262 0.359 0.696
O 0.322 0.420 0.446
O 0.342 0.673 0.425
O 0.346 0.965 0.681
O 0.409 0.741 0.747
O 0.477 0.102 0.500
O 0.499 0.907 0.175
O 0.573 0.270 0.928
O 0.625 0.563 0.191
O 0.632 0.046 0.995
O 0.632 0.331 0.247
O 0.698 0.632 0.945
O 0.762 0.852 0.691
O 0.811 0.923 0.444
O 0.839 0.179 0.428
O 0.840 0.464 0.679
O 0.909 0.241 0.748
O 0.978 0.594 0.495
O 0.998 0.406 0.177



[7]
Below is a relaxed Li8MnFe7B8O24 crystal, with properties calculated at the PBE+U level.

## Properties
* magnetization: 33.00 Bohr magnetons per cell
* volume: 10.196 Å³ per atom
* density: 3.30 g cm⁻³
* relative energy among the computed polymorphs: 0 meV per atom
* SG: No. 1
* energy of formation: -2.35 eV/atom

Unit cell a=5.215 b=9.060 c=10.364 alpha=88.45 beta=89.15 gamma=89.92
Atoms (fractional coordinates):
Li 0.000 0.000 0.000
Li 0.017 0.995 0.500
Li 0.327 0.341 0.250
Li 0.365 0.329 0.751
Li 0.498 0.500 0.000
Li 0.515 0.495 0.501
Li 0.825 0.842 0.251
Li 0.865 0.829 0.750
Mn 0.839 0.508 0.216
Fe 0.004 0.668 0.466
Fe 0.018 0.332 0.966
Fe 0.333 0.008 0.215
Fe 0.363 0.666 0.715
Fe 0.504 0.168 0.467
Fe 0.517 0.832 0.967
Fe 0.862 0.165 0.716
B 0.007 0.334 0.460
B 0.015 0.665 0.958
B 0.337 0.672 0.210
B 0.352 0.999 0.710
B 0.507 0.835 0.460
B 0.515 0.165 0.959
B 0.838 0.169 0.209
B 0.852 0.499 0.710
O 0.083 0.687 0.251
O 0.088 0.986 0.696
O 0.272 0.345 0.446
O 0.276 0.653 0.928
O 0.358 0.959 0.428
O 0.373 0.041 0.000
O 0.392 0.703 0.500
O 0.398 0.302 0.946
O 0.443 0.532 0.195
O 0.470 0.134 0.679
O 0.485 0.797 0.179
O 0.497 0.877 0.749
O 0.583 0.181 0.249
O 0.588 0.486 0.696
O 0.772 0.846 0.447
O 0.776 0.152 0.928
O 0.858 0.458 0.431
O 0.872 0.542 0.998
O 0.892 0.202 0.500
O 0.898 0.803 0.946
O 0.951 0.031 0.196
O 0.970 0.634 0.679
O 0.984 0.294 0.178
O 0.996 0.377 0.749



[8]
Below is a relaxed Li4Mn3FeB4O12 crystal, with properties calculated at the PBE+U level.

## Properties
* magnetization: 19.00 Bohr magnetons per cell
* volume: 10.429 Å³ per atom
* density: 3.21 g cm⁻³
* relative energy among the computed polymorphs: 0 meV per atom
* SG: No. 1
* energy of formation: -2.46 eV/atom

Unit cell a=5.241 b=5.249 c=10.497 alpha=91.18 beta=90.69 gamma=119.86
Atoms (fractional coordinates):
Li 0.000 0.000 0.000
Li 0.013 0.990 0.500
Li 0.670 0.685 0.750
Li 0.697 0.659 0.250
Mn 0.023 0.336 0.287
Mn 0.344 0.667 0.035
Mn 0.348 0.017 0.783
Fe 0.673 0.337 0.535
B 0.008 0.342 0.791
B 0.342 0.669 0.542
B 0.351 0.998 0.294
B 0.682 0.333 0.042
O 0.075 0.969 0.308
O 0.093 0.406 0.503
O 0.278 0.593 0.821
O 0.323 0.920 0.570
O 0.381 0.759 0.252
O 0.419 0.091 0.000
O 0.601 0.268 0.325
O 0.615 0.686 0.554
O 0.707 0.607 0.057
O 0.770 0.371 0.749
O 0.926 0.301 0.073
O 0.978 0.066 0.805